Entry from the Materials Project database: a relaxed structure of Mn5CrO8 (meta-GGA r2SCAN).

Summary:
total DFT energy (no corrections): -166.711 eV/f.u.
ΔH_f (0 K): -2.174 eV per atom

a b c (Å): 10.749 5.851 5.876
angles (deg): 90.00 122.77 90.00
Space group C2/m (No. 12)
Asymmetric unit:
Mn 0.000 0.000 0.000 x2
Mn 0.128 0.500 0.883 x4
Mn 0.250 0.250 0.500 x4
Cr 0.000 0.000 0.500 x2
O 0.005 0.224 0.248 x8
O 0.223 0.000 0.703 x4
O 0.249 0.500 0.714 x4